Pr4Er11S22 (PBE-GGA, relaxed); total magnetic moment = 0.03 μB per formula unit; DFT formation energy = -2.355 eV/atom; final energy = -6.3899 eV per atom
1.0
1.9741 19.5881 0.0000
-1.9741 19.5881 0.0000
0.0000 0.2811 11.3595
Pr Er S
4 11 22
Cartesian
0.0000 4.3578 11.2166
0.0000 35.0995 0.1429
0.0000 14.5675 7.4084
0.0000 24.8897 3.9510
0.0000 31.5274 10.7030
0.0000 7.9298 0.6564
0.0000 18.2966 8.2756
0.0000 21.1606 3.0838
0.0000 25.9614 7.9296
0.0000 13.4959 3.4299
0.0000 10.5289 7.3607
0.0000 28.9284 3.9987
0.0000 2.8964 7.2712
0.0000 36.5609 4.0882
0.0000 0.0000 0.0000
0.0000 3.4879 2.8118
0.0000 35.9694 8.5476
0.0000 7.4840 3.4960
0.0000 31.9732 7.8635
0.0000 11.0845 4.6567
0.0000 28.3728 6.7027
0.0000 17.6059 5.7314
0.0000 21.8513 5.6281
0.0000 5.4176 6.2096
0.0000 34.0396 5.1499
0.0000 23.4490 8.9462
0.0000 16.0083 2.4133
0.0000 18.0281 11.0019
0.0000 21.4291 0.3576
0.0000 13.9898 10.3162
0.0000 25.4675 1.0432
0.0000 6.8347 9.6372
0.0000 32.6226 1.7222
0.0000 0.5185 8.6476
0.0000 38.9387 2.7118
0.0000 10.2473 10.0050
0.0000 29.2100 1.3545